TaBiO5: optimized geometry, PBE-GGA.

abc: 9.819 5.484 9.174
angles: 62.15 90.00 90.00
Positions (direct):
1 Bi 0.606 0.988 0.370
2 Bi 0.894 0.988 0.870
3 Bi 0.394 0.012 0.630
4 Bi 0.106 0.012 0.130
5 O 0.015 0.633 0.348
6 O 0.079 0.810 0.980
7 O 0.421 0.810 0.480
8 O 0.555 0.908 0.145
9 O 0.810 0.099 0.321
10 O 0.690 0.099 0.821
11 O 0.515 0.367 0.152
12 O 0.233 0.372 0.975
13 O 0.055 0.092 0.355
14 O 0.445 0.092 0.855
15 O 0.485 0.633 0.848
16 O 0.945 0.908 0.645
17 O 0.310 0.901 0.179
18 O 0.733 0.628 0.525
19 O 0.267 0.372 0.475
20 O 0.190 0.901 0.679
21 O 0.985 0.367 0.652
22 O 0.767 0.628 0.025
23 O 0.921 0.190 0.020
24 O 0.579 0.190 0.520
25 Ta 0.089 0.237 0.510
26 Ta 0.911 0.763 0.490
27 Ta 0.411 0.237 0.010
28 Ta 0.589 0.763 0.990

Properties
Total magnetic moment = 0.00 μB/cell
Theoretical density = 7147 kg/m3
Space group = P2_1/c, No. 14
Energy above the lowest structure with this stoichiometry = 0 meV/atom
Energy of formation = -14.6 eV per formula unit


Ta3Bi7O18: optimized geometry, PBE-GGA.

abc: 6.704 7.678 16.783
angles: 103.17 93.95 90.07
Positions (direct):
1 O 0.975 0.284 0.006
2 O 0.962 0.178 0.370
3 O 0.806 0.954 0.908
4 O 0.146 0.053 0.100
5 O 0.796 0.531 0.484
6 O 0.164 0.147 0.866
7 O 0.467 0.765 0.528
8 O 0.555 0.237 0.472
9 O 0.448 0.488 0.378
10 O 0.792 0.939 0.466
11 O 0.134 0.915 0.243
12 O 0.443 0.899 0.376
13 O 0.585 0.658 0.910
14 O 0.560 0.136 0.247
15 O 0.911 0.434 0.867
16 O 0.216 0.458 0.508
17 O 0.037 0.574 0.143
18 O 0.984 0.336 0.669
19 O 0.164 0.722 0.864
20 O 0.598 0.099 0.615
21 O 0.836 0.096 0.769
22 O 0.582 0.251 0.906
23 O 0.371 0.359 0.104
24 O 0.833 0.670 0.768
25 O 0.325 0.393 0.777
26 O 0.221 0.058 0.514
27 O 0.570 0.517 0.620
28 O 0.992 0.828 0.641
29 O 0.406 0.886 0.768
30 O 0.375 0.758 0.109
31 O 0.132 0.334 0.242
32 O 0.637 0.616 0.241
33 O 0.794 0.859 0.142
34 O 0.797 0.287 0.150
35 O 0.001 0.677 0.352
36 O 0.987 0.723 0.005
37 Bi 0.302 0.648 0.294
38 Bi 0.148 0.611 0.723
39 Bi 0.142 0.111 0.722
40 Bi 0.967 0.259 0.506
41 Bi 0.674 0.839 0.683
42 Bi 0.804 0.899 0.322
43 Bi 0.577 0.058 0.118
44 Bi 0.336 0.454 0.907
45 Bi 0.394 0.951 0.896
46 Bi 0.673 0.356 0.708
47 Bi 0.291 0.162 0.324
48 Bi 0.637 0.568 0.111
49 Bi 0.805 0.392 0.293
50 Bi 0.026 0.745 0.501
51 Ta 0.095 0.816 0.122
52 Ta 0.503 0.498 0.498
53 Ta 0.100 0.311 0.118
54 Ta 0.862 0.199 0.896
55 Ta 0.497 0.002 0.501
56 Ta 0.865 0.697 0.897

Properties
Total magnetic moment = 0.00 μB/cell
Theoretical density = 9080 kg/m3
Space group = P1, No. 1
Energy of formation = -65.4 eV per formula unit


Ta2Bi2O9: optimized geometry, PBE-GGA.

abc: 12.455 12.455 5.538
angles: 90.00 90.00 154.92
Positions (direct):
1 O 0.905 0.047 0.786
2 O 0.332 0.332 0.571
3 O 0.313 0.993 0.561
4 O 0.756 0.267 0.222
5 O 0.267 0.756 0.222
6 O 0.366 0.568 0.840
7 O 0.095 0.953 0.286
8 O 0.244 0.733 0.722
9 O 0.007 0.687 0.061
10 O 0.634 0.432 0.340
11 O 0.687 0.007 0.061
12 O 0.993 0.313 0.561
13 O 0.733 0.244 0.722
14 O 0.047 0.905 0.786
15 O 0.432 0.634 0.340
16 O 0.568 0.366 0.840
17 O 0.953 0.095 0.286
18 O 0.668 0.668 0.071
19 Ta 0.330 0.176 0.543
20 Ta 0.670 0.824 0.043
21 Ta 0.824 0.670 0.043
22 Ta 0.176 0.330 0.543
23 Bi 0.585 0.976 0.439
24 Bi 0.976 0.585 0.439
25 Bi 0.024 0.415 0.939
26 Bi 0.415 0.024 0.939

Properties
Total magnetic moment = 4.00 μB/cell
Theoretical density = 8424 kg/m3
Space group = Cmc2_1, No. 36
Energy above the lowest structure with this stoichiometry = 0 meV/atom
Energy of formation = -31.3 eV per formula unit


Ta3Bi7O18: optimized geometry, PBE-GGA.

abc: 16.745 16.745 6.714
angles: 86.37 86.37 26.52
Positions (direct):
1 O 0.102 0.518 0.428
2 O 0.182 0.182 0.018
3 O 0.048 0.048 0.831
4 O 0.721 0.279 0.000
5 O 0.859 0.284 0.186
6 O 0.898 0.482 0.572
7 O 0.279 0.721 0.000
8 O 0.092 0.670 0.145
9 O 0.141 0.716 0.814
10 O 0.716 0.141 0.814
11 O 0.671 0.671 0.994
12 O 0.569 0.569 0.940
13 O 0.670 0.092 0.145
14 O 0.945 0.536 0.214
15 O 0.329 0.329 0.006
16 O 0.284 0.859 0.186
17 O 0.383 0.383 0.655
18 O 0.250 0.650 0.394
19 O 0.908 0.330 0.855
20 O 0.236 0.236 0.459
21 O 0.330 0.908 0.855
22 O 0.617 0.617 0.345
23 O 0.350 0.750 0.606
24 O 0.650 0.250 0.394
25 O 0.055 0.464 0.786
26 O 0.120 0.120 0.423
27 O 0.764 0.764 0.541
28 O 0.818 0.818 0.982
29 O 0.431 0.431 0.060
30 O 0.750 0.350 0.606
31 O 0.518 0.102 0.428
32 O 0.952 0.952 0.169
33 O 0.464 0.055 0.786
34 O 0.880 0.880 0.577
35 O 0.536 0.945 0.214
36 O 0.482 0.898 0.572
37 Bi 0.552 0.552 0.348
38 Bi 0.105 0.604 0.836
39 Bi 0.162 0.162 0.689
40 Bi 0.252 0.252 0.026
41 Bi 0.056 0.056 0.407
42 Bi 0.895 0.396 0.164
43 Bi 0.396 0.895 0.164
44 Bi 0.448 0.448 0.652
45 Bi 0.838 0.838 0.311
46 Bi 0.353 0.353 0.317
47 Bi 0.604 0.105 0.836
48 Bi 0.748 0.748 0.974
49 Bi 0.944 0.944 0.593
50 Bi 0.647 0.647 0.683
51 Ta 0.694 0.194 0.117
52 Ta 0.194 0.694 0.117
53 Ta 0.000 0.500 0.500
54 Ta 0.500 0.000 0.500
55 Ta 0.306 0.806 0.883
56 Ta 0.806 0.306 0.883

Properties
Total magnetic moment = 0.00 μB/cell
Theoretical density = 9081 kg/m3
Space group = C2/m, No. 12
Energy of formation = -65.4 eV per formula unit


Ta7BiO19: optimized geometry, PBE-GGA.

abc: 6.273 6.273 20.217
angles: 90.00 90.00 120.00
Positions (direct):
1 O 0.046 0.284 0.944
2 O 0.667 0.581 0.347
3 O 0.716 0.954 0.444
4 O 0.292 0.375 0.250
5 O 0.046 0.762 0.444
6 O 0.238 0.954 0.556
7 O 0.716 0.762 0.556
8 O 0.914 0.333 0.347
9 O 0.333 0.667 0.134
10 O 0.716 0.954 0.056
11 O 0.667 0.086 0.653
12 O 0.083 0.375 0.750
13 O 0.914 0.333 0.153
14 O 0.238 0.954 0.944
15 O 0.083 0.708 0.250
16 O 0.419 0.333 0.653
17 O 0.333 0.667 0.866
18 O 0.000 0.000 0.833
19 O 0.667 0.581 0.153
20 O 0.419 0.086 0.347
21 O 0.333 0.667 0.634
22 O 0.000 0.000 0.333
23 O 0.625 0.917 0.250
24 O 0.716 0.762 0.944
25 O 0.419 0.333 0.847
26 O 0.000 0.000 0.667
27 O 0.333 0.667 0.366
28 O 0.667 0.086 0.847
29 O 0.238 0.284 0.056
30 O 0.914 0.581 0.653
31 O 0.292 0.917 0.750
32 O 0.625 0.708 0.750
33 O 0.238 0.284 0.444
34 O 0.419 0.086 0.153
35 O 0.046 0.284 0.556
36 O 0.046 0.762 0.056
37 O 0.914 0.581 0.847
38 O 0.000 0.000 0.167
39 Bi 0.333 0.667 0.000
40 Bi 0.333 0.667 0.500
41 Ta 0.306 0.974 0.844
42 Ta 0.306 0.333 0.156
43 Ta 0.306 0.974 0.656
44 Ta 0.026 0.694 0.156
45 Ta 0.667 0.694 0.844
46 Ta 0.026 0.333 0.656
47 Ta 0.000 0.000 0.500
48 Ta 0.026 0.333 0.844
49 Ta 0.026 0.694 0.344
50 Ta 0.306 0.333 0.344
51 Ta 0.667 0.974 0.344
52 Ta 0.667 0.974 0.156
53 Ta 0.000 0.000 0.000
54 Ta 0.667 0.694 0.656

Properties
Total magnetic moment = 0.07 μB/cell
Theoretical density = 8578 kg/m3
Space group = P-6c2, No. 188
Energy above the lowest structure with this stoichiometry = 0 meV/atom
Energy of formation = -86.3 eV per formula unit


TaBiO4: optimized geometry, PBE-GGA.

abc: 5.618 7.798 7.839
angles: 102.05 90.00 93.37
Positions (direct):
1 Bi 0.732 0.382 0.620
2 Bi 0.792 0.334 0.115
3 Bi 0.268 0.618 0.380
4 Bi 0.208 0.666 0.885
5 O 0.059 0.389 0.826
6 O 0.458 0.672 0.134
7 O 0.804 0.831 0.950
8 O 0.941 0.611 0.174
9 O 0.060 0.956 0.285
10 O 0.940 0.044 0.715
11 O 0.490 0.608 0.679
12 O 0.510 0.392 0.321
13 O 0.347 0.181 0.553
14 O 0.196 0.169 0.050
15 O 0.044 0.346 0.360
16 O 0.956 0.654 0.640
17 O 0.542 0.328 0.866
18 O 0.422 0.949 0.776
19 O 0.578 0.051 0.224
20 O 0.653 0.819 0.447
21 Ta 0.744 0.828 0.191
22 Ta 0.723 0.843 0.692
23 Ta 0.256 0.172 0.809
24 Ta 0.277 0.157 0.308

Properties
Theoretical density = 8993 kg/m3
Space group = P-1, No. 2
Energy of formation = -16.2 eV per formula unit